Record 1
Entry from Materials Project: an optimized crystal structure of ZnS (PBE-GGA).

```
ZnS
1.0
12.837 0.000 0.000
-0.259 12.862 0.000
-0.056 -1.404 14.390
Zn S
50 50
direct
0.000 0.000 0.000
0.000 0.695 0.026
0.120 0.087 0.791
0.128 0.044 0.275
0.159 0.367 0.678
0.178 0.328 0.919
0.181 0.581 0.538
0.185 0.755 0.724
0.205 0.893 0.996
0.216 0.829 0.397
0.232 0.156 0.585
0.245 0.778 0.134
0.246 0.972 0.581
0.284 0.211 0.412
0.307 0.194 0.022
0.311 0.401 0.125
0.353 0.494 0.890
0.362 0.004 0.861
0.379 0.788 0.008
0.428 0.589 0.028
0.431 0.208 0.764
0.436 0.959 0.219
0.456 0.636 0.654
0.459 0.104 0.524
0.537 0.622 0.357
0.556 0.344 0.001
0.558 0.924 0.695
0.578 0.905 0.119
0.619 0.809 0.467
0.625 0.691 0.871
0.640 0.427 0.823
0.699 0.194 0.399
0.708 0.045 0.919
0.708 0.654 0.607
0.725 0.731 0.342
0.771 0.908 0.799
0.778 0.487 0.392
0.828 0.087 0.191
0.828 0.453 0.999
0.831 0.012 0.629
0.831 0.810 0.036
0.855 0.092 0.791
0.857 0.939 0.401
0.859 0.423 0.731
0.928 0.634 0.824
0.936 0.165 0.573
0.957 0.814 0.169
0.958 0.530 0.628
0.971 0.715 0.444
0.989 0.266 0.445
0.013 0.693 0.702
0.055 0.838 0.931
0.082 0.426 0.546
0.086 0.199 0.677
0.094 0.963 0.467
0.096 0.692 0.161
0.130 0.215 0.339
0.139 0.667 0.414
0.167 0.308 0.072
0.190 0.452 0.822
0.202 0.936 0.729
0.261 0.919 0.267
0.277 0.176 0.851
0.282 0.612 0.668
0.314 0.322 0.559
0.329 0.016 0.029
0.350 0.833 0.522
0.364 0.814 0.847
0.392 0.663 0.277
0.422 0.536 0.179
0.440 0.134 0.365
0.445 0.280 0.104
0.452 0.265 0.612
0.477 0.360 0.852
0.488 0.924 0.537
0.498 0.778 0.773
0.524 0.060 0.804
0.543 0.260 0.356
0.551 0.640 0.520
0.551 0.739 0.022
0.627 0.569 0.732
0.662 0.494 0.982
0.675 0.124 0.560
0.684 0.560 0.283
0.700 0.225 0.961
0.720 0.852 0.641
0.735 0.268 0.613
0.735 0.972 0.064
0.743 0.273 0.762
0.749 0.036 0.324
0.796 0.757 0.875
0.819 0.266 0.177
0.829 0.321 0.390
0.837 0.271 0.036
0.850 0.602 0.514
0.892 0.782 0.313
0.963 0.893 0.525
0.969 0.533 0.941
0.991 0.125 0.899
0.994 0.001 0.164
```


Record 2
Entry from Materials Project: an optimized crystal structure of ZnS (PBE-GGA).

```
ZnS
1.0
3.854 0.000 0.000
-1.927 3.337 0.000
0.000 0.000 63.004
Zn S
20 20
direct
0.000 0.000 0.000
0.000 0.000 0.100
0.000 0.000 0.200
0.000 0.000 0.400
0.000 0.000 0.500
0.000 0.000 0.700
0.000 0.000 0.850
0.333 0.667 0.150
0.333 0.667 0.300
0.333 0.667 0.450
0.333 0.667 0.600
0.333 0.667 0.750
0.333 0.667 0.950
0.667 0.333 0.050
0.667 0.333 0.250
0.667 0.333 0.350
0.667 0.333 0.550
0.667 0.333 0.650
0.667 0.333 0.800
0.667 0.333 0.900
0.000 0.000 0.037
0.000 0.000 0.137
0.000 0.000 0.237
0.000 0.000 0.437
0.000 0.000 0.537
0.000 0.000 0.737
0.000 0.000 0.888
0.333 0.667 0.188
0.333 0.667 0.338
0.333 0.667 0.488
0.333 0.667 0.638
0.333 0.667 0.787
0.333 0.667 0.987
0.667 0.333 0.088
0.667 0.333 0.287
0.667 0.333 0.387
0.667 0.333 0.587
0.667 0.333 0.687
0.667 0.333 0.837
0.667 0.333 0.937
```


It is found that the calculated formation energy values, taken in the order of the records, are -0.6115, -1.0619 eV per atom.
It is found that the total energy after the MP2020 corrections values, taken in the order of the records, are -3.310, -3.760 eV/atom.
It is found that the calculated density values, taken in the order of the records, are 3406, 3995 kg/m³.